## K2TlMoF6 (GGA+U)

Data for a relaxed K2TlMoF6 crystal.

Magnetic moment in μB per cell: 3.00
DFT total energy in eV per atom: -4.788
ΔH_f (0 K) in eV per atom: -2.694
V in Å³/cell: 207

Cell and atoms, written as CIF:
```
data_K2TlMoF6
_chemical_formula_sum 'K2 Tl1 Mo1 F6'
_symmetry_space_group_name_H-M 'P 1'
_symmetry_Int_Tables_number 1
_symmetry_space_group_name_Hall 'P 1'
_cell_length_a 6.642
_cell_length_b 6.642
_cell_length_c 6.642
_cell_angle_alpha 60.00
_cell_angle_beta 60.00
_cell_angle_gamma 60.00
loop_
_atom_site_label
_atom_site_fract_x
_atom_site_fract_y
_atom_site_fract_z
K1 0.750 0.750 0.750
F1 0.779 0.221 0.779
Mo1 0.000 0.000 0.000
F2 0.221 0.779 0.779
F3 0.221 0.779 0.221
F4 0.221 0.221 0.779
K2 0.250 0.250 0.250
F5 0.779 0.779 0.221
Tl1 0.500 0.500 0.500
F6 0.779 0.221 0.221
```

=====

## Na4MgMo2O8 (GGA+U)

Data for a relaxed Na4MgMo2O8 crystal.

Magnetic moment in μB per cell: 0.00
DFT total energy in eV per atom: -5.711
ΔH_f (0 K) in eV per atom: -1.960
Distance to the lowest polymorph of the same formula in meV per atom: 85.4
V in Å³/cell: 214

Cell and atoms, written as CIF:
```
data_Na4MgMo2O8
_chemical_formula_sum 'Na4 Mg1 Mo2 O8'
_symmetry_space_group_name_H-M 'P 1'
_symmetry_Int_Tables_number 1
_symmetry_space_group_name_Hall 'P 1'
_cell_length_a 6.509
_cell_length_b 6.509
_cell_length_c 6.851
_cell_angle_alpha 101.81
_cell_angle_beta 101.81
_cell_angle_gamma 124.66
loop_
_atom_site_label
_atom_site_fract_x
_atom_site_fract_y
_atom_site_fract_z
Na1 0.136 0.864 0.250
Na2 0.447 0.553 0.750
Na3 0.803 0.197 0.750
O1 0.634 0.079 0.380
Na4 0.614 0.386 0.250
Mo1 0.875 0.125 0.250
Mg1 0.375 0.625 0.250
Mo2 0.125 0.875 0.750
O2 0.278 0.814 0.565
O3 0.921 0.366 0.120
O4 0.699 0.755 0.121
O5 0.787 0.750 0.565
O6 0.245 0.301 0.379
O7 0.186 0.722 0.935
O8 0.250 0.213 0.935
```

=====

## MnO2 (GGA+U)

Data for a relaxed MnO2 crystal.

DFT total energy in eV per atom: -7.138
ΔH_f (0 K) in eV per atom: -1.799
V in Å³/cell: 265

Cell and atoms, written as CIF:
```
data_MnO2
_chemical_formula_sum 'Mn6 O12'
_symmetry_space_group_name_H-M 'P 1'
_symmetry_Int_Tables_number 1
_symmetry_space_group_name_Hall 'P 1'
_cell_length_a 2.925
_cell_length_b 9.456
_cell_length_c 9.571
_cell_angle_alpha 88.03
_cell_angle_beta 90.00
_cell_angle_gamma 90.00
loop_
_atom_site_label
_atom_site_fract_x
_atom_site_fract_y
_atom_site_fract_z
O1 0.000 0.855 0.920
O2 0.500 0.893 0.676
Mn1 0.000 0.989 0.765
Mn2 0.500 0.233 0.982
O3 0.500 0.908 0.159
O4 0.000 0.145 0.080
Mn3 0.500 0.000 0.500
O5 0.000 0.902 0.411
Mn4 0.000 0.011 0.235
O6 0.500 0.107 0.324
O7 0.000 0.333 0.889
Mn5 0.500 0.767 0.018
O8 0.500 0.401 0.094
Mn6 0.000 0.500 0.000
O9 0.000 0.667 0.111
O10 0.000 0.098 0.589
O11 0.500 0.092 0.841
O12 0.500 0.599 0.906
```

=====

## BaSmEuFeO6 (GGA+U)

Data for a relaxed BaSmEuFeO6 crystal.

Magnetic moment in μB per cell: 10.00
DFT total energy in eV per atom: -7.522
ΔH_f (0 K) in eV per atom: -2.654
V in Å³/cell: 147

Cell and atoms, written as CIF:
```
data_BaSmEuFeO6
_chemical_formula_sum 'Ba1 Sm1 Eu1 Fe1 O6'
_symmetry_space_group_name_H-M 'P 1'
_symmetry_Int_Tables_number 1
_symmetry_space_group_name_Hall 'P 1'
_cell_length_a 5.921
_cell_length_b 5.921
_cell_length_c 5.921
_cell_angle_alpha 60.00
_cell_angle_beta 60.00
_cell_angle_gamma 60.00
loop_
_atom_site_label
_atom_site_fract_x
_atom_site_fract_y
_atom_site_fract_z
O1 0.768 0.232 0.232
Fe1 0.000 0.000 0.000
O2 0.232 0.768 0.232
O3 0.768 0.768 0.232
O4 0.232 0.768 0.768
O5 0.232 0.232 0.768
Sm1 0.500 0.500 0.500
O6 0.768 0.232 0.768
Ba1 0.750 0.750 0.750
Eu1 0.250 0.250 0.250
```

=====

## Li3Mn5O8 (GGA+U)

Data for a relaxed Li3Mn5O8 crystal.

Magnetic moment in μB per cell: 22.00
DFT total energy in eV per atom: -6.892
ΔH_f (0 K) in eV per atom: -2.062
V in Å³/cell: 160

Cell and atoms, written as CIF:
```
data_Li3Mn5O8
_chemical_formula_sum 'Li3 Mn5 O8'
_symmetry_space_group_name_H-M 'P 1'
_symmetry_Int_Tables_number 1
_symmetry_space_group_name_Hall 'P 1'
_cell_length_a 6.095
_cell_length_b 6.095
_cell_length_c 6.095
_cell_angle_alpha 59.94
_cell_angle_beta 59.94
_cell_angle_gamma 59.94
loop_
_atom_site_label
_atom_site_fract_x
_atom_site_fract_y
_atom_site_fract_z
Li1 0.000 0.000 0.500
O1 0.750 0.249 0.750
Mn1 0.500 0.500 0.500
Mn2 0.000 0.500 0.500
O2 0.734 0.734 0.734
O3 0.750 0.750 0.249
Li2 0.500 0.000 0.000
Mn3 0.500 0.000 0.500
Mn4 0.500 0.500 0.000
O4 0.266 0.266 0.266
Mn5 0.000 0.000 0.000
O5 0.250 0.250 0.751
O6 0.751 0.250 0.250
O7 0.250 0.751 0.250
O8 0.249 0.750 0.750
Li3 0.000 0.500 0.000
```

=====

## SrEuYCoO6 (GGA+U)

Data for a relaxed SrEuYCoO6 crystal.

Magnetic moment in μB per cell: 5.00
DFT total energy in eV per atom: -7.556
ΔH_f (0 K) in eV per atom: -2.611
V in Å³/cell: 131

Cell and atoms, written as CIF:
```
data_SrEuYCoO6
_chemical_formula_sum 'Sr1 Eu1 Y1 Co1 O6'
_symmetry_space_group_name_H-M 'P 1'
_symmetry_Int_Tables_number 1
_symmetry_space_group_name_Hall 'P 1'
_cell_length_a 5.701
_cell_length_b 5.701
_cell_length_c 5.701
_cell_angle_alpha 60.00
_cell_angle_beta 60.00
_cell_angle_gamma 60.00
loop_
_atom_site_label
_atom_site_fract_x
_atom_site_fract_y
_atom_site_fract_z
Sr1 0.750 0.750 0.750
O1 0.770 0.230 0.770
Eu1 0.250 0.250 0.250
O2 0.230 0.770 0.230
Y1 0.500 0.500 0.500
Co1 0.000 0.000 0.000
O3 0.230 0.770 0.770
O4 0.230 0.230 0.770
O5 0.770 0.230 0.230
O6 0.770 0.770 0.230
```

=====

## ZnBiMoO5 (GGA+U)

Data for a relaxed ZnBiMoO5 crystal.

Magnetic moment in μB per cell: 4.00
DFT total energy in eV per atom: -6.018
ΔH_f (0 K) in eV per atom: -1.756
Distance to the lowest polymorph of the same formula in meV per atom: 0.0
V in Å³/cell: 501

Cell and atoms, written as CIF:
```
data_ZnBiMoO5
_chemical_formula_sum 'Zn4 Bi4 Mo4 O20'
_symmetry_space_group_name_H-M 'P 1'
_symmetry_Int_Tables_number 1
_symmetry_space_group_name_Hall 'P 1'
_cell_length_a 5.391
_cell_length_b 8.050
_cell_length_c 11.929
_cell_angle_alpha 90.00
_cell_angle_beta 90.00
_cell_angle_gamma 104.65
loop_
_atom_site_label
_atom_site_fract_x
_atom_site_fract_y
_atom_site_fract_z
O1 0.497 0.334 0.815
O2 0.719 0.014 0.791
O3 0.000 0.327 0.931
O4 0.744 0.986 0.025
Mo1 0.278 0.469 0.864
O5 0.281 0.986 0.209
Bi1 0.902 0.840 0.897
O6 0.534 0.331 0.069
Zn1 0.393 0.837 0.084
O7 0.219 0.514 0.709
Mo2 0.722 0.531 0.136
O8 0.756 0.514 0.525
O9 0.500 0.173 0.431
Bi2 0.598 0.660 0.397
O10 0.503 0.666 0.185
O11 0.256 0.014 0.975
Zn2 0.107 0.663 0.584
O12 0.500 0.827 0.569
O13 0.034 0.831 0.431
Bi3 0.098 0.160 0.103
Zn3 0.893 0.337 0.416
O14 0.003 0.166 0.315
Zn4 0.607 0.163 0.916
O15 0.244 0.486 0.475
O16 0.466 0.669 0.931
O17 0.000 0.673 0.069
O18 0.781 0.486 0.291
Bi4 0.402 0.340 0.603
O19 0.997 0.834 0.685
Mo3 0.222 0.031 0.364
Mo4 0.778 0.969 0.636
O20 0.966 0.169 0.569
```

=====

## Li3FeF6 (GGA+U)

Data for a relaxed Li3FeF6 crystal.

DFT total energy in eV per atom: -5.043
ΔH_f (0 K) in eV per atom: -2.978
Piezoelectric modulus e_max in C/m2: 0.2
Distance to the lowest polymorph of the same formula in meV per atom: 5.7
V in Å³/cell: 429

Cell and atoms, written as CIF:
```
data_Li3FeF6
_chemical_formula_sum 'Li12 Fe4 F24'
_symmetry_space_group_name_H-M 'P 1'
_symmetry_Int_Tables_number 1
_symmetry_space_group_name_Hall 'P 1'
_cell_length_a 5.079
_cell_length_b 8.597
_cell_length_c 9.829
_cell_angle_alpha 90.00
_cell_angle_beta 90.00
_cell_angle_gamma 90.00
loop_
_atom_site_label
_atom_site_fract_x
_atom_site_fract_y
_atom_site_fract_z
Li1 0.998 0.955 0.394
F1 0.646 0.559 0.273
Li2 0.008 0.853 0.126
Li3 0.502 0.453 0.646
Li4 0.002 0.547 0.354
Fe1 0.000 0.259 0.628
F2 0.820 0.415 0.509
Li5 0.998 0.545 0.894
F3 0.842 0.409 0.025
Li6 0.508 0.353 0.374
F4 0.342 0.591 0.975
F5 0.684 0.612 0.751
Fe2 0.500 0.741 0.372
F6 0.184 0.388 0.249
F7 0.824 0.755 0.978
F8 0.683 0.231 0.239
Li7 0.498 0.455 0.106
Li8 0.508 0.147 0.874
F9 0.146 0.059 0.227
Fe3 0.500 0.759 0.872
Li9 0.008 0.647 0.626
F10 0.146 0.441 0.727
F11 0.646 0.941 0.773
Li10 0.002 0.953 0.854
F12 0.824 0.745 0.478
F13 0.183 0.731 0.261
F14 0.324 0.255 0.522
F15 0.820 0.085 0.009
Li11 0.502 0.047 0.146
Li12 0.498 0.045 0.606
F16 0.324 0.245 0.022
Fe4 0.000 0.241 0.128
F17 0.320 0.915 0.991
F18 0.342 0.909 0.475
F19 0.184 0.112 0.749
F20 0.842 0.091 0.525
F21 0.320 0.585 0.491
F22 0.683 0.269 0.739
F23 0.684 0.888 0.251
F24 0.183 0.769 0.761
```